(1)
First-principles (r2SCAN) data for crystalline Fe7Ge4 at its relaxed geometry, as listed in the Materials Project database.

The structure belongs to space group P6_3/mmc (No. 194); the cell edges are 8.0829, 8.0829 and 4.9637 Å and the angles 90.00°, 90.00° and 120.00°. The asymmetric unit holds Fe at (0.0000, 0.0000, 0.0000), Fe at (0.0000, 0.5000, 0.0000), Fe at (0.1589, 0.3177, 0.2500), Ge at (0.1898, 0.3796, 0.7500) and Ge at (0.3333, 0.6667, 0.2500).

As for the formation energy from the elements: 0.02 eV/atom. The distance to the lowest polymorph of the same formula comes out at 0.0 kJ per mole of atoms. As for the crystal system: hexagonal. As for the magnetic moment: 16.82 μB/f.u. The total energy is -14.1947 eV/atom.


(2)
First-principles (r2SCAN) data for crystalline FeGe2 at its relaxed geometry, as listed in the Materials Project database.

The structure belongs to space group Cmce (No. 64); the cell edges are 10.4372, 8.0121 and 8.1702 Å and the angles 90.00°, 90.00° and 90.00°. The asymmetric unit holds Fe at (0.0000, 0.1972, 0.1876), Fe at (0.2182, 0.0000, 0.0000), Ge at (0.1267, 0.0397, 0.7313) and Ge at (0.1273, 0.2280, 0.4561).

As for the formation energy from the elements: 0.18 eV/atom. As for the crystal system: orthorhombic. As for the magnetic moment: 0.00 μB/f.u. The total energy is -13.8702 eV/atom.


(3)
First-principles (r2SCAN) data for crystalline FeGe at its relaxed geometry, as listed in the Materials Project database.

The structure belongs to space group P2_13 (No. 198); the cell edges are 4.7158, 4.7158 and 4.7158 Å and the angles 90.00°, 90.00° and 90.00°. The asymmetric unit holds Fe at (0.1348, 0.1348, 0.1348) and Ge at (0.1550, 0.3450, 0.6550).

As for the formation energy from the elements: 0.12 eV/atom. As for the crystal system: cubic. As for the magnetic moment: 2.00 μB/f.u. The total energy is -14.0274 eV/atom.


(4)
First-principles (r2SCAN) data for crystalline Fe7Ge4 at its relaxed geometry, as listed in the Materials Project database.

The structure belongs to space group P-6m2 (No. 187); the cell edges are 4.0813, 4.0813 and 9.9843 Å and the angles 90.00°, 90.00° and 120.00°. The asymmetric unit holds Fe at (0.0000, 0.0000, 0.0000), Fe at (0.3333, 0.6667, 0.1247), Fe at (0.3333, 0.6667, 0.3722), Fe at (0.6667, 0.3333, 0.2620), Ge at (0.0000, 0.0000, 0.2530), Ge at (0.6667, 0.3333, 0.0000) and Ge at (0.6667, 0.3333, 0.5000).

As for the formation energy from the elements: 0.04 eV/atom. The distance to the lowest polymorph of the same formula comes out at 1.7 kJ per mole of atoms. As for the crystal system: hexagonal. As for the magnetic moment: 16.40 μB/f.u. The total energy is -14.1776 eV/atom.


(5)
First-principles (r2SCAN) data for crystalline FeGe at its relaxed geometry, as listed in the Materials Project database.

The structure belongs to space group P6/mmm (No. 191); the cell edges are 4.9976, 4.9976 and 4.1158 Å and the angles 90.00°, 90.00° and 120.00°. The asymmetric unit holds Fe at (0.0000, 0.5000, 0.0000), Ge at (0.0000, 0.0000, 0.0000) and Ge at (0.3333, 0.6667, 0.5000).

As for the formation energy from the elements: 0.01 eV/atom. As for the crystal system: hexagonal. As for the magnetic moment: 2.34 μB/f.u. The total energy is -14.1370 eV/atom.


(6)
First-principles (r2SCAN) data for crystalline HfFeGe at its relaxed geometry, as listed in the Materials Project database.

The structure belongs to space group P-62m (No. 189); the cell edges are 6.6715, 6.6715 and 3.6631 Å and the angles 90.00°, 90.00° and 120.00°. The asymmetric unit holds Hf at (0.0000, 0.5896, 0.0000), Fe at (0.0000, 0.2513, 0.5000), Ge at (0.0000, 0.0000, 0.0000) and Ge at (0.3333, 0.6667, 0.5000).

As for the formation energy from the elements: -0.52 eV/atom. As for the crystal system: hexagonal. As for the magnetic moment: 2.00 μB/f.u. The total energy is -25.0009 eV/atom.


(7)
First-principles (r2SCAN) data for crystalline Hf4Fe4Ge7 at its relaxed geometry, as listed in the Materials Project database.

The structure belongs to space group I4/mmm (No. 139); the cell edges are 13.3619, 13.3619 and 5.1408 Å and the angles 90.00°, 90.00° and 90.00°. The asymmetric unit holds Hf at (0.0000, 0.1924, 0.0000), Hf at (0.1387, 0.1387, 0.5000), Fe at (0.1482, 0.3518, 0.2500), Ge at (0.0000, 0.0000, 0.2523), Ge at (0.0000, 0.2853, 0.5000), Ge at (0.0000, 0.4054, 0.0000) and Ge at (0.2047, 0.2047, 0.0000).

As for the formation energy from the elements: -0.43 eV/atom. As for the crystal system: tetragonal. As for the magnetic moment: 7.70 μB/f.u. The total energy is -22.7867 eV/atom.


(8)
First-principles (r2SCAN) data for crystalline LaFe2Ge2 at its relaxed geometry, as listed in the Materials Project database.

The structure belongs to space group I4/mmm (No. 139); the cell edges are 4.0812, 4.0812 and 10.9579 Å and the angles 90.00°, 90.00° and 90.00°. The asymmetric unit holds La at (0.0000, 0.0000, 0.0000), Fe at (0.0000, 0.5000, 0.2500) and Ge at (0.0000, 0.0000, 0.3790).

As for the formation energy from the elements: -0.45 eV/atom. As for the crystal system: tetragonal. As for the magnetic moment: 5.40 μB/f.u. The total energy is -17.7097 eV/atom.